[1]
{
  "formula": "RbMg14Ti",
  "functional": "GGA-PBE",
  "state": "relaxed",
  "lattice_angstrom": [[10.4594, 0.0000, 0.0000], [0.0000, 3.3106, 5.6326], [0.0000, -3.3106, 5.6326]],
  "species": ["Rb", "Mg", "Mg", "Mg", "Mg", "Mg", "Mg", "Mg", "Mg", "Mg", "Mg", "Mg", "Mg", "Mg", "Mg", "Ti"],
  "frac_coords": [[0.0000, 0.0000, 0.0000], [0.0000, 0.4984, 0.9995], [0.0000, 0.9995, 0.4984], [0.2428, 0.6594, 0.6594], [0.2577, 0.1757, 0.6483], [0.2577, 0.6483, 0.1757], [0.2648, 0.1706, 0.1706], [0.5000, 0.4968, 0.4968], [0.5000, 0.4992, 0.9934], [0.5000, 0.9934, 0.4992], [0.5000, 0.9956, 0.9956], [0.7352, 0.1706, 0.1706], [0.7423, 0.1757, 0.6483], [0.7423, 0.6483, 0.1757], [0.7572, 0.6594, 0.6594], [0.0000, 0.4853, 0.4853]],
  "e_tot_ev_per_atom": -1.745,
  "de_polymorph_mev_per_atom": 22,
  "rho_g_cm3": 2.02
}

[2]
{
  "formula": "SrCu2SnS4",
  "functional": "GGA-PBE",
  "state": "relaxed",
  "lattice_angstrom": [[6.3466, 0.0000, 0.0000], [-3.1733, 5.4963, 0.0000], [0.0000, 0.0000, 15.5918]],
  "species": ["Sr", "Sr", "Sr", "Cu", "Cu", "Cu", "Cu", "Cu", "Cu", "Sn", "Sn", "Sn", "S", "S", "S", "S", "S", "S", "S", "S", "S", "S", "S", "S"],
  "frac_coords": [[0.0000, 0.5621, 0.1667], [0.4379, 0.4379, 0.5000], [0.5621, 0.0000, 0.8333], [0.0727, 0.6362, 0.4121], [0.3638, 0.4365, 0.7455], [0.4365, 0.3638, 0.2545], [0.5635, 0.9273, 0.0788], [0.6362, 0.0727, 0.5879], [0.9273, 0.5635, 0.9212], [0.0000, 0.7049, 0.6667], [0.2951, 0.2951, 0.0000], [0.7049, 0.0000, 0.3333], [0.0452, 0.4862, 0.7872], [0.1171, 0.3533, 0.3287], [0.2362, 0.8829, 0.9953], [0.3533, 0.1171, 0.6713], [0.4410, 0.9548, 0.4539], [0.4862, 0.0452, 0.2128], [0.5138, 0.5590, 0.1205], [0.5590, 0.5138, 0.8795], [0.6467, 0.7638, 0.6620], [0.7638, 0.6467, 0.3380], [0.8829, 0.2362, 0.0047], [0.9548, 0.4410, 0.5461]],
  "e_tot_ev_per_atom": -4.579,
  "e_ij_max_c_m2": 0.4,
  "rho_g_cm3": 4.23
}

[3]
{
  "formula": "La3Cd",
  "functional": "GGA-PBE",
  "state": "relaxed",
  "lattice_angstrom": [[5.0817, 0.0000, 0.0000], [0.0000, 5.0817, 0.0000], [0.0000, 0.0000, 5.0817]],
  "species": ["La", "La", "La", "Cd"],
  "frac_coords": [[0.0000, 0.0000, 0.5000], [0.0000, 0.5000, 0.0000], [0.5000, 0.0000, 0.0000], [0.5000, 0.5000, 0.5000]],
  "e_tot_ev_per_atom": -4.054,
  "rho_g_cm3": 6.70
}

no.,calculated volume (Å³/atom),energy relative to the elements (eV/atom)
1,24.380,0.21
2,22.662,-1.03
3,32.807,-0.12